Below is a geometry-optimized Tm3Cu4Sn4 structure, with properties calculated at the meta-GGA r2SCAN level.

Lattice parameters (Å, degrees): 4.3891 6.8900 8.2871 113.80 105.36 90.00
Last column: nearest neighbours and their distance in Å.
Positions (direct):
Sn (0.4900, 0.1937, 0.9800)  2 Cu 2.59-2.62, 1 Sn 2.82
Sn (0.7828, 0.3003, 0.5655)  6 Cu 2.61-2.73
Sn (0.2172, 0.6997, 0.4345)  6 Cu 2.61-2.73
Sn (0.5100, 0.8063, 0.0200)  2 Cu 2.59-2.62, 1 Sn 2.82
Cu (0.6592, 0.4784, 0.3184)  4 Sn 2.59-2.73, 1 Cu 2.61
Cu (0.3408, 0.5216, 0.6816)  4 Sn 2.59-2.73, 1 Cu 2.61
Cu (0.3156, 0.1214, 0.6311)  1 Cu 2.61, 4 Sn 2.62-2.67
Cu (0.6844, 0.8786, 0.3689)  1 Cu 2.61, 4 Sn 2.62-2.67
Tm (0.8696, 0.8563, 0.7392)  6 Cu 3.03-3.28, 6 Sn 3.12-3.26
Tm (0.0000, 0.5000, 0.0000)  6 Sn 3.00-3.15
Tm (0.1304, 0.1437, 0.2608)  6 Cu 3.03-3.28, 6 Sn 3.12-3.26

Calculated values
- Magnetic moment: 0.000 μB/atom
- Space-group type: No. 12

Below is a geometry-optimized Y3Cu4Sn4 structure, with properties calculated at the meta-GGA r2SCAN level.

Lattice parameters (Å, degrees): 8.4059 8.4059 8.4059 149.27 131.26 58.73
Last column: nearest neighbours and their distance in Å.
Positions (direct):
Cu (0.8583, 0.6714, 0.1870)  1 Cu 2.59, 4 Sn 2.63-2.72
Cu (0.1417, 0.3286, 0.8130)  1 Cu 2.59, 4 Sn 2.63-2.72
Cu (0.4844, 0.6714, 0.8130)  1 Cu 2.59, 4 Sn 2.63-2.72
Cu (0.5156, 0.3286, 0.1870)  1 Cu 2.59, 4 Sn 2.63-2.72
Y (0.1317, 0.1317, 0.0000)  6 Sn 3.15-3.26, 6 Cu 3.16
Y (0.8683, 0.8683, 0.0000)  6 Sn 3.15-3.26, 6 Cu 3.16
Y (0.5000, 0.0000, 0.5000)  6 Sn 3.04-3.17
Sn (0.7163, 0.2163, 0.5000)  6 Cu 2.66-2.72
Sn (0.2024, 0.5000, 0.7024)  2 Cu 2.63, 1 Sn 2.81
Sn (0.7976, 0.5000, 0.2976)  2 Cu 2.63, 1 Sn 2.81
Sn (0.2837, 0.7837, 0.5000)  6 Cu 2.66-2.72

Calculated values
- Magnetic moment: 0.000 μB/atom
- Space-group type: No. 71

Below is a geometry-optimized SrCu structure, with properties calculated at the meta-GGA r2SCAN level.

Lattice parameters (Å, degrees): 4.2792 4.2792 15.7581 90.00 90.00 120.00
Last column: nearest neighbours and their distance in Å.
Positions (direct):
Cu (0.6667, 0.3333, 0.7500)  3 Cu 2.47
Cu (0.0000, 0.0000, 0.2500)  3 Cu 2.47
Cu (0.3333, 0.6667, 0.2500)  3 Cu 2.47
Cu (0.0000, 0.0000, 0.7500)  3 Cu 2.47
Sr (0.6667, 0.3333, 0.3784)  6 Cu 3.19
Sr (0.3333, 0.6667, 0.6216)  6 Cu 3.19
Sr (0.3333, 0.6667, 0.8784)  6 Cu 3.19
Sr (0.6667, 0.3333, 0.1216)  6 Cu 3.19

Calculated values
- Magnetic moment: 0.000 μB/atom
- Space-group type: No. 194

Below is a geometry-optimized SrCu5 structure, with properties calculated at the meta-GGA r2SCAN level.

Lattice parameters (Å, degrees): 5.2292 5.2292 3.9719 90.00 90.00 120.00
Last column: nearest neighbours and their distance in Å.
Positions (direct):
Sr (0.0000, 0.0000, 0.0000)  18 Cu 3.02-3.28
Cu (0.5000, 0.5000, 0.5000)  8 Cu 2.49-2.61
Cu (0.6667, 0.3333, 0.0000)  6 Cu 2.49
Cu (0.5000, 0.0000, 0.5000)  8 Cu 2.49-2.61
Cu (0.0000, 0.5000, 0.5000)  8 Cu 2.49-2.61
Cu (0.3333, 0.6667, 0.0000)  6 Cu 2.49

Calculated values
- Magnetic moment: 0.000 μB/atom
- Space-group type: No. 191

Below is a geometry-optimized TaCu3Te4 structure, with properties calculated at the meta-GGA r2SCAN level.

Lattice parameters (Å, degrees): 5.9598 5.9598 5.9598 90.00 90.00 90.00
Last column: nearest neighbours and their distance in Å.
Positions (direct):
Te (0.7435, 0.7435, 0.2565)  3 Cu 2.60, 1 Ta 2.65
Te (0.2565, 0.7435, 0.7435)  3 Cu 2.60, 1 Ta 2.65
Te (0.7435, 0.2565, 0.7435)  3 Cu 2.60, 1 Ta 2.65
Te (0.2565, 0.2565, 0.2565)  3 Cu 2.60, 1 Ta 2.65
Cu (0.0000, 0.5000, 0.0000)  4 Te 2.60
Cu (0.5000, 0.0000, 0.0000)  4 Te 2.60
Cu (0.0000, 0.0000, 0.5000)  4 Te 2.60
Ta (0.0000, 0.0000, 0.0000)  4 Te 2.65

Calculated values
- Magnetic moment: 0.000 μB/atom
- Space-group type: No. 215

Below is a geometry-optimized Tb6Cu23 structure, with properties calculated at the meta-GGA r2SCAN level.

Lattice parameters (Å, degrees): 8.5252 8.5252 8.5252 60.00 60.00 60.00
Last column: nearest neighbours and their distance in Å.
Positions (direct):
Cu (0.0000, 0.5000, 0.5000)  8 Cu 2.47-2.62
Cu (0.8769, 0.3692, 0.8769)  7 Cu 2.57-2.62, 3 Tb 2.87
Cu (0.8769, 0.8769, 0.3692)  7 Cu 2.57-2.62, 3 Tb 2.87
Cu (0.3252, 0.0244, 0.3252)  9 Cu 2.47-2.59
Cu (0.1231, 0.1231, 0.1231)  7 Cu 2.57-2.62, 3 Tb 2.87
Cu (0.5000, 0.0000, 0.0000)  8 Cu 2.47-2.62
Cu (0.0244, 0.3252, 0.3252)  9 Cu 2.47-2.59
Cu (0.0000, 0.0000, 0.5000)  8 Cu 2.47-2.62
Cu (0.6748, 0.6748, 0.9756)  9 Cu 2.47-2.59
Cu (0.6748, 0.6748, 0.6748)  9 Cu 2.47-2.59
Cu (0.0000, 0.0000, 0.0000)  8 Cu 2.57
Cu (0.3692, 0.8769, 0.8769)  7 Cu 2.57-2.62, 3 Tb 2.87
Cu (0.1231, 0.1231, 0.6308)  7 Cu 2.57-2.62, 3 Tb 2.87
Cu (0.3252, 0.3252, 0.3252)  9 Cu 2.47-2.59
Cu (0.6308, 0.1231, 0.1231)  7 Cu 2.57-2.62, 3 Tb 2.87
Cu (0.1231, 0.6308, 0.1231)  7 Cu 2.57-2.62, 3 Tb 2.87
Cu (0.0000, 0.5000, 0.0000)  8 Cu 2.47-2.62
Cu (0.3252, 0.3252, 0.0244)  9 Cu 2.47-2.59
Cu (0.5000, 0.0000, 0.5000)  8 Cu 2.47-2.62
Cu (0.5000, 0.5000, 0.0000)  8 Cu 2.47-2.62
Cu (0.9756, 0.6748, 0.6748)  9 Cu 2.47-2.59
Cu (0.6748, 0.9756, 0.6748)  9 Cu 2.47-2.59
Cu (0.8769, 0.8769, 0.8769)  7 Cu 2.57-2.62, 3 Tb 2.87
Tb (0.7149, 0.2851, 0.7149)  12 Cu 2.87-3.04
Tb (0.2851, 0.2851, 0.7149)  12 Cu 2.87-3.04
Tb (0.2851, 0.7149, 0.2851)  12 Cu 2.87-3.04
Tb (0.7149, 0.2851, 0.2851)  12 Cu 2.87-3.04
Tb (0.7149, 0.7149, 0.2851)  12 Cu 2.87-3.04
Tb (0.2851, 0.7149, 0.7149)  12 Cu 2.87-3.04

Calculated values
- Magnetic moment: 0.000 μB/atom
- Space-group type: No. 225

Number 1: energy of formation -50.7 kJ/mol of atoms. Number 2: energy of formation -54.7 kJ/mol of atoms. Number 3: energy of formation -5.7 kJ/mol of atoms. Number 4: energy of formation -3.4 kJ/mol of atoms. Number 5: energy of formation -31.4 kJ/mol of atoms. Number 6: energy of formation -18.5 kJ/mol of atoms.